1.
A plane-wave DFT calculation with GGA+U was carried out for Mn3NbP6O24 after structural relaxation.

Values from the calculation:
SG = R3
Volume = 456.5 Å³/cell
Mass density = 3.010 g/cm³
Crystal system = trigonal
Formation enthalpy at 0 K = -2.406 eV per atom

abc: 8.757 8.757 8.757
angles: 58.31 58.31 58.31
Fractional coordinates of all 34 atoms:
Mn 0.000 0.000 0.000
Mn 0.212 0.212 0.212
Mn 0.500 0.500 0.500
Nb 0.716 0.716 0.716
P 0.119 0.823 0.379
P 0.313 0.605 0.892
P 0.379 0.119 0.823
P 0.605 0.892 0.313
P 0.823 0.379 0.119
P 0.892 0.313 0.605
O 0.076 0.292 0.430
O 0.087 0.844 0.211
O 0.131 0.781 0.917
O 0.135 0.998 0.363
O 0.211 0.087 0.844
O 0.291 0.639 0.406
O 0.292 0.430 0.076
O 0.340 0.582 0.716
O 0.363 0.135 0.998
O 0.406 0.291 0.639
O 0.430 0.076 0.292
O 0.488 0.634 0.863
O 0.562 0.941 0.796
O 0.582 0.716 0.340
O 0.634 0.863 0.488
O 0.639 0.406 0.291
O 0.716 0.340 0.582
O 0.781 0.917 0.131
O 0.796 0.562 0.941
O 0.844 0.211 0.087
O 0.863 0.488 0.634
O 0.917 0.131 0.781
O 0.941 0.796 0.562
O 0.998 0.363 0.135

---

2.
A plane-wave DFT calculation with GGA+U was carried out for Mn7NbP12O48 after structural relaxation.

Values from the calculation:
SG = P1
Volume = 858.0 Å³/cell
Mass density = 3.130 g/cm³
Crystal system = triclinic
Formation enthalpy at 0 K = -2.295 eV per atom

abc: 8.495 8.522 11.850
angles: 90.03 90.01 90.03
Fractional coordinates of all 68 atoms:
Mn 0.000 0.000 0.000
Mn 0.000 0.500 0.261
Mn 0.430 0.500 0.497
Mn 0.431 0.999 0.764
Mn 0.498 0.499 0.000
Mn 0.499 0.999 0.264
Mn 0.931 0.999 0.498
Nb 0.934 0.499 0.757
P 0.075 0.131 0.735
P 0.077 0.649 0.517
P 0.215 0.215 0.380
P 0.222 0.718 0.885
P 0.356 0.143 0.026
P 0.356 0.643 0.235
P 0.561 0.355 0.735
P 0.574 0.856 0.525
P 0.710 0.792 0.885
P 0.715 0.286 0.381
P 0.855 0.352 0.031
P 0.856 0.856 0.236
O 0.027 0.086 0.855
O 0.031 0.594 0.401
O 0.063 0.313 0.723
O 0.069 0.828 0.533
O 0.106 0.311 0.303
O 0.110 0.813 0.960
O 0.122 0.108 0.462
O 0.125 0.611 0.805
O 0.186 0.099 0.057
O 0.187 0.597 0.204
O 0.244 0.600 0.552
O 0.245 0.089 0.705
O 0.305 0.104 0.300
O 0.308 0.607 0.966
O 0.324 0.311 0.457
O 0.329 0.812 0.806
O 0.366 0.324 0.040
O 0.366 0.824 0.222
O 0.403 0.090 0.908
O 0.404 0.590 0.353
O 0.443 0.430 0.652
O 0.454 0.927 0.609
O 0.477 0.071 0.109
O 0.478 0.569 0.154
O 0.521 0.410 0.854
O 0.525 0.909 0.408
O 0.557 0.175 0.722
O 0.563 0.675 0.539
O 0.604 0.692 0.960
O 0.606 0.189 0.304
O 0.623 0.395 0.462
O 0.623 0.900 0.802
O 0.685 0.399 0.058
O 0.686 0.901 0.206
O 0.733 0.400 0.706
O 0.744 0.899 0.555
O 0.805 0.897 0.966
O 0.806 0.396 0.301
O 0.816 0.690 0.809
O 0.822 0.189 0.459
O 0.865 0.172 0.042
O 0.866 0.676 0.221
O 0.902 0.408 0.911
O 0.903 0.910 0.353
O 0.953 0.061 0.653
O 0.957 0.574 0.601
O 0.976 0.428 0.111
O 0.978 0.928 0.154

---

3.
A plane-wave DFT calculation with GGA+U was carried out for Mn2NbV3P6O24 after structural relaxation.

Values from the calculation:
SG = R3
Volume = 470.2 Å³/cell
Mass density = 3.268 g/cm³
Crystal system = trigonal
Formation enthalpy at 0 K = -2.662 eV per atom

abc: 8.730 8.730 8.730
angles: 59.97 59.97 59.97
Fractional coordinates of all 36 atoms:
Mn 0.000 0.000 0.000
Mn 0.496 0.496 0.496
Nb 0.852 0.852 0.852
V 0.141 0.141 0.141
V 0.353 0.353 0.353
V 0.639 0.639 0.639
P 0.039 0.448 0.743
P 0.251 0.954 0.534
P 0.448 0.743 0.039
P 0.534 0.251 0.954
P 0.743 0.039 0.448
P 0.954 0.534 0.251
O 0.056 0.260 0.909
O 0.083 0.934 0.731
O 0.113 0.504 0.301
O 0.187 0.990 0.381
O 0.231 0.439 0.584
O 0.260 0.909 0.056
O 0.301 0.113 0.504
O 0.381 0.187 0.990
O 0.408 0.760 0.556
O 0.439 0.584 0.231
O 0.489 0.688 0.881
O 0.504 0.301 0.113
O 0.556 0.408 0.760
O 0.584 0.231 0.439
O 0.613 0.804 0.995
O 0.688 0.881 0.489
O 0.731 0.083 0.934
O 0.760 0.556 0.408
O 0.804 0.995 0.613
O 0.881 0.489 0.688
O 0.909 0.056 0.260
O 0.934 0.731 0.083
O 0.990 0.381 0.187
O 0.995 0.613 0.804

---

4.
A plane-wave DFT calculation with GGA+U was carried out for Nd4MnNi3O12 after structural relaxation.

Values from the calculation:
SG = P-1
Volume = 232.5 Å³/cell
Mass density = 7.142 g/cm³
Crystal system = triclinic
Formation enthalpy at 0 K = -2.601 eV per atom

abc: 5.444 5.536 7.716
angles: 90.17 90.04 90.15
Fractional coordinates of all 20 atoms:
Nd 0.011 0.047 0.253
Nd 0.489 0.550 0.252
Nd 0.511 0.450 0.748
Nd 0.989 0.953 0.747
Mn 0.000 0.500 0.000
Ni 0.000 0.500 0.500
Ni 0.500 0.000 0.000
Ni 0.500 0.000 0.500
O 0.081 0.518 0.756
O 0.202 0.782 0.045
O 0.218 0.793 0.457
O 0.282 0.297 0.043
O 0.294 0.283 0.456
O 0.418 0.019 0.744
O 0.582 0.981 0.256
O 0.706 0.717 0.544
O 0.718 0.703 0.957
O 0.782 0.207 0.543
O 0.798 0.218 0.955
O 0.919 0.482 0.244

---

5.
A plane-wave DFT calculation with GGA+U was carried out for NdMn2O5 after structural relaxation.

Values from the calculation:
SG = Pbam
Volume = 386.8 Å³/cell
Mass density = 5.738 g/cm³
Crystal system = orthorhombic
Formation enthalpy at 0 K = -2.610 eV per atom

abc: 7.599 8.732 5.829
angles: 90.00 90.00 90.00
Fractional coordinates of all 32 atoms:
Nd 0.141 0.172 0.000
Nd 0.359 0.672 0.000
Nd 0.641 0.328 0.000
Nd 0.859 0.828 0.000
Mn 0.000 0.500 0.257
Mn 0.000 0.500 0.743
Mn 0.090 0.850 0.500
Mn 0.410 0.350 0.500
Mn 0.500 0.000 0.257
Mn 0.500 0.000 0.743
Mn 0.590 0.650 0.500
Mn 0.910 0.150 0.500
O 0.000 0.000 0.276
O 0.000 0.000 0.724
O 0.099 0.707 0.247
O 0.099 0.707 0.753
O 0.152 0.435 0.500
O 0.158 0.447 0.000
O 0.342 0.947 0.000
O 0.348 0.935 0.500
O 0.401 0.207 0.247
O 0.401 0.207 0.753
O 0.500 0.500 0.276
O 0.500 0.500 0.724
O 0.599 0.793 0.247
O 0.599 0.793 0.753
O 0.652 0.065 0.500
O 0.658 0.053 0.000
O 0.842 0.553 0.000
O 0.848 0.565 0.500
O 0.901 0.293 0.247
O 0.901 0.293 0.753

---

6.
A plane-wave DFT calculation with GGA+U was carried out for Nd20Mn20O59 after structural relaxation.

Values from the calculation:
SG = P1
Volume = 1250.9 Å³/cell
Mass density = 6.541 g/cm³
Crystal system = triclinic
Formation enthalpy at 0 K = -2.951 eV per atom

abc: 9.441 11.173 13.044
angles: 73.80 76.09 74.16
Fractional coordinates of all 99 atoms:
Nd 0.000 0.000 0.000
Nd 0.029 0.469 0.940
Nd 0.112 0.884 0.308
Nd 0.156 0.340 0.249
Nd 0.198 0.797 0.602
Nd 0.228 0.269 0.542
Nd 0.313 0.686 0.907
Nd 0.342 0.157 0.847
Nd 0.395 0.596 0.200
Nd 0.430 0.067 0.140
Nd 0.512 0.486 0.507
Nd 0.540 0.958 0.449
Nd 0.599 0.399 0.801
Nd 0.630 0.869 0.741
Nd 0.711 0.285 0.108
Nd 0.738 0.760 0.047
Nd 0.803 0.199 0.400
Nd 0.820 0.677 0.345
Nd 0.911 0.086 0.707
Nd 0.941 0.556 0.648
Mn 0.071 0.176 0.123
Mn 0.072 0.682 0.123
Mn 0.169 0.075 0.428
Mn 0.169 0.576 0.424
Mn 0.270 0.477 0.724
Mn 0.271 0.977 0.724
Mn 0.370 0.376 0.024
Mn 0.371 0.879 0.022
Mn 0.469 0.778 0.324
Mn 0.470 0.276 0.326
Mn 0.570 0.677 0.625
Mn 0.571 0.177 0.624
Mn 0.671 0.078 0.923
Mn 0.671 0.577 0.926
Mn 0.763 0.476 0.226
Mn 0.769 0.978 0.225
Mn 0.870 0.877 0.525
Mn 0.871 0.379 0.523
Mn 0.970 0.278 0.824
Mn 0.970 0.777 0.826
O 0.020 0.677 0.970
O 0.048 0.247 0.431
O 0.051 0.745 0.499
O 0.090 0.609 0.749
O 0.093 0.106 0.819
O 0.113 0.672 0.281
O 0.154 0.344 0.805
O 0.161 0.037 0.604
O 0.166 0.832 0.784
O 0.176 0.321 0.064
O 0.182 0.115 0.245
O 0.192 0.816 0.040
O 0.221 0.478 0.565
O 0.244 0.534 0.108
O 0.247 0.051 0.028
O 0.287 0.408 0.351
O 0.292 0.905 0.420
O 0.319 0.477 0.884
O 0.352 0.144 0.404
O 0.361 0.837 0.204
O 0.365 0.633 0.380
O 0.376 0.122 0.665
O 0.381 0.918 0.844
O 0.387 0.610 0.643
O 0.419 0.274 0.165
O 0.447 0.848 0.629
O 0.451 0.345 0.700
O 0.491 0.211 0.947
O 0.492 0.704 0.020
O 0.521 0.277 0.484
O 0.553 0.945 0.004
O 0.561 0.637 0.803
O 0.564 0.432 0.984
O 0.574 0.923 0.268
O 0.577 0.719 0.447
O 0.579 0.408 0.243
O 0.622 0.078 0.764
O 0.654 0.146 0.299
O 0.655 0.654 0.230
O 0.690 0.010 0.549
O 0.692 0.506 0.619
O 0.720 0.076 0.084
O 0.754 0.744 0.605
O 0.764 0.235 0.581
O 0.767 0.442 0.396
O 0.777 0.721 0.866
O 0.781 0.517 0.050
O 0.787 0.211 0.843
O 0.818 0.880 0.366
O 0.848 0.448 0.830
O 0.851 0.945 0.901
O 0.881 0.805 0.154
O 0.906 0.309 0.220
O 0.920 0.877 0.684
O 0.960 0.238 0.004
O 0.966 0.031 0.183
O 0.973 0.525 0.465
O 0.979 0.318 0.645
O 0.987 0.010 0.442

---

7.
A plane-wave DFT calculation with GGA+U was carried out for Nd2MnP2O after structural relaxation.

Values from the calculation:
SG = P4/mmm
Volume = 168.5 Å³/cell
Mass density = 4.151 g/cm³
Crystal system = tetragonal
Formation enthalpy at 0 K = -0.137 eV per atom

abc: 3.369 3.369 14.854
angles: 90.00 90.00 90.00
Fractional coordinates of all 6 atoms:
Nd 0.000 0.000 0.142
Nd 0.000 0.000 0.858
Mn 0.000 0.000 0.500
P 0.000 0.000 0.341
P 0.000 0.000 0.659
O 0.000 0.000 0.000

---

8.
A plane-wave DFT calculation with GGA+U was carried out for Sr6Nd4Mn3Rh2O20 after structural relaxation.

Values from the calculation:
SG = P1
Volume = 536.4 Å³/cell
Mass density = 5.551 g/cm³
Crystal system = triclinic
Formation enthalpy at 0 K = -2.246 eV per atom

abc: 3.950 6.795 20.854
angles: 94.88 91.55 105.62
Fractional coordinates of all 35 atoms:
Sr 0.000 0.000 0.000
Sr 0.055 0.148 0.778
Sr 0.141 0.419 0.626
Sr 0.456 0.932 0.613
Sr 0.639 0.228 0.464
Sr 0.720 0.408 0.156
Nd 0.048 0.080 0.230
Nd 0.259 0.507 0.020
Nd 0.324 0.677 0.862
Nd 0.376 0.755 0.360
Mn 0.649 0.307 0.917
Mn 0.743 0.555 0.743
Mn 0.945 0.841 0.481
Rh 0.420 0.815 0.144
Rh 0.662 0.317 0.316
O 0.016 0.004 0.408
O 0.019 0.081 0.555
O 0.136 0.232 0.136
O 0.161 0.330 0.918
O 0.195 0.399 0.296
O 0.233 0.531 0.751
O 0.435 0.846 0.052
O 0.439 0.832 0.474
O 0.504 0.015 0.912
O 0.506 0.985 0.277
O 0.599 0.266 0.692
O 0.620 0.476 0.553
O 0.657 0.352 0.828
O 0.667 0.311 0.019
O 0.793 0.575 0.378
O 0.805 0.620 0.945
O 0.817 0.722 0.676
O 0.863 0.782 0.809
O 0.903 0.768 0.162
O 0.949 0.613 0.535